Record 1
# ZrI3 PBE optimized geometry
# Formation energy from the elements, eV/atom: -1.246
# Uncorrected energy, eV per atom: -4.242
data_ZrI3
_chemical_formula_sum 'Zr2 I6'
_space_group_name_H-M_alt 'P 63/m c m'
_space_group_IT_number 193
_space_group_name_Hall '-P 6c 2'
_cell_length_a 8.0080
_cell_length_b 8.0080
_cell_length_c 6.6041
_cell_angle_alpha 90.00
_cell_angle_beta 90.00
_cell_angle_gamma 120.00
loop_
_atom_site_label
_atom_site_type_symbol
_atom_site_fract_x
_atom_site_fract_y
_atom_site_fract_z
_atom_site_occupancy
Zr1 Zr 0.0000 0.0000 0.0000 1
I1 I 0.0000 0.3022 0.2500 1


Record 2
# Zr3I PBE optimized geometry
# Formation energy from the elements, eV/atom: 0.081
# Uncorrected energy, eV per atom: -6.616
data_Zr3I
_chemical_formula_sum 'Zr3 I1'
_space_group_name_H-M_alt 'P m -3 m'
_space_group_IT_number 221
_space_group_name_Hall '-P 4 2 3'
_cell_length_a 4.484
_cell_length_b 4.484
_cell_length_c 4.484
_cell_angle_alpha 90.00
_cell_angle_beta 90.00
_cell_angle_gamma 90.00
loop_
_atom_site_label
_atom_site_type_symbol
_atom_site_fract_x
_atom_site_fract_y
_atom_site_fract_z
_atom_site_occupancy
Zr1 Zr 0.000 0.000 0.500 1
I1 I 0.500 0.500 0.500 1


Record 3
# ZrI2 PBE optimized geometry
# Formation energy from the elements, eV/atom: -1.066
# Uncorrected energy, eV per atom: -4.678
data_ZrI2
_chemical_formula_sum 'Zr18 I36'
_space_group_name_H-M_alt 'R -3'
_space_group_IT_number 148
_space_group_name_Hall '-R 3'
_cell_length_a 14.9332
_cell_length_b 14.9332
_cell_length_c 10.4411
_cell_angle_alpha 90.00
_cell_angle_beta 90.00
_cell_angle_gamma 120.00
loop_
_atom_site_label
_atom_site_type_symbol
_atom_site_fract_x
_atom_site_fract_y
_atom_site_fract_z
_atom_site_occupancy
Zr1 Zr 0.0393 0.9006 0.3713 1
I1 I 0.0307 0.4418 0.1645 1
I2 I 0.0502 0.8756 0.8167 1


Record 4
# ZrI3 PBE optimized geometry
# Formation energy from the elements, eV/atom: -1.247
# Uncorrected energy, eV per atom: -4.243
data_ZrI3
_chemical_formula_sum 'Zr4 I12'
_space_group_name_H-M_alt 'P m m n'
_space_group_IT_number 59
_cell_length_a 6.660
_cell_length_b 14.088
_cell_length_c 8.125
_cell_angle_alpha 90.00
_cell_angle_beta 90.00
_cell_angle_gamma 90.00
loop_
_space_group_symop_operation_xyz
'x,y,z'
'-x,-y,-z'
'-x+1/2,-y+1/2,z'
'x+1/2,y+1/2,-z'
'x+1/2,-y,-z'
'-x+1/2,y,z'
'-x,y+1/2,-z'
'x,-y+1/2,z'
loop_
_atom_site_label
_atom_site_type_symbol
_atom_site_fract_x
_atom_site_fract_y
_atom_site_fract_z
_atom_site_occupancy
Zr1 Zr 0.013 0.250 0.248 1
I1 I 0.250 0.100 0.398 1
I2 I 0.250 0.250 0.948 1
I3 I 0.250 0.604 0.898 1
I4 I 0.250 0.750 0.459 1


Record 5
# ZrI2 PBE optimized geometry
# Formation energy from the elements, eV/atom: -1.145
# Uncorrected energy, eV per atom: -4.758
data_ZrI2
_chemical_formula_sum 'Zr4 I8'
_space_group_name_H-M_alt 'P m n 21'
_space_group_IT_number 31
_space_group_name_Hall 'P 2ac -2'
_cell_length_a 3.776
_cell_length_b 6.925
_cell_length_c 16.364
_cell_angle_alpha 90.00
_cell_angle_beta 90.00
_cell_angle_gamma 90.00
loop_
_atom_site_label
_atom_site_type_symbol
_atom_site_fract_x
_atom_site_fract_y
_atom_site_fract_z
_atom_site_occupancy
Zr1 Zr 0.000 0.009 0.000 1
Zr2 Zr 0.000 0.616 0.494 1
I1 I 0.000 0.223 0.397 1
I2 I 0.000 0.278 0.862 1
I3 I 0.000 0.616 0.097 1
I4 I 0.000 0.885 0.632 1


Record 6
# In3Ir PBE optimized geometry
# Formation energy from the elements, eV/atom: -0.157
# Uncorrected energy, eV per atom: -4.431
data_In3Ir
_chemical_formula_sum 'In12 Ir4'
_space_group_name_H-M_alt 'P 42/m n m'
_space_group_IT_number 136
_space_group_name_Hall '-P 4n 2n'
_cell_length_a 7.117
_cell_length_b 7.117
_cell_length_c 7.322
_cell_angle_alpha 90.00
_cell_angle_beta 90.00
_cell_angle_gamma 90.00
loop_
_atom_site_label
_atom_site_type_symbol
_atom_site_fract_x
_atom_site_fract_y
_atom_site_fract_z
_atom_site_occupancy
In1 In 0.000 0.500 0.000 1
In2 In 0.152 0.152 0.244 1
Ir1 Ir 0.155 0.845 0.000 1


Record 7
# In3Ir PBE optimized geometry
# Formation energy from the elements, eV/atom: -0.159
# Uncorrected energy, eV per atom: -4.432
data_In3Ir
_chemical_formula_sum 'In12 Ir4'
_space_group_name_H-M_alt 'P n m a'
_space_group_IT_number 62
_space_group_name_Hall '-P 2ac 2n'
_cell_length_a 7.570
_cell_length_b 8.378
_cell_length_c 5.471
_cell_angle_alpha 90.00
_cell_angle_beta 90.00
_cell_angle_gamma 90.00
loop_
_atom_site_label
_atom_site_type_symbol
_atom_site_fract_x
_atom_site_fract_y
_atom_site_fract_z
_atom_site_occupancy
In1 In 0.020 0.250 0.095 1
In2 In 0.171 0.056 0.637 1
Ir1 Ir 0.127 0.750 0.440 1


Record 8
# LaIn5Ir PBE optimized geometry
# Formation energy from the elements, eV/atom: -0.404
# Uncorrected energy, eV per atom: -4.338
data_LaIn5Ir
_chemical_formula_sum 'La1 In5 Ir1'
_space_group_name_H-M_alt 'P 4/m m m'
_space_group_IT_number 123
_space_group_name_Hall '-P 4 2'
_cell_length_a 4.745
_cell_length_b 4.745
_cell_length_c 7.681
_cell_angle_alpha 90.00
_cell_angle_beta 90.00
_cell_angle_gamma 90.00
loop_
_atom_site_label
_atom_site_type_symbol
_atom_site_fract_x
_atom_site_fract_y
_atom_site_fract_z
_atom_site_occupancy
La1 La 0.000 0.000 0.000 1
In1 In 0.000 0.500 0.306 1
In2 In 0.500 0.500 0.000 1
Ir1 Ir 0.000 0.000 0.500 1


Record 9
# PrIn2Ir PBE optimized geometry
# Formation energy from the elements, eV/atom: -0.524
# Uncorrected energy, eV per atom: -5.304
data_PrIn2Ir
_chemical_formula_sum 'Pr4 In8 Ir4'
_space_group_name_H-M_alt 'C m c m'
_space_group_IT_number 63
_space_group_name_Hall '-C 2c 2'
_cell_length_a 4.443
_cell_length_b 10.463
_cell_length_c 8.072
_cell_angle_alpha 90.00
_cell_angle_beta 90.00
_cell_angle_gamma 90.00
loop_
_atom_site_label
_atom_site_type_symbol
_atom_site_fract_x
_atom_site_fract_y
_atom_site_fract_z
_atom_site_occupancy
Pr1 Pr 0.000 0.070 0.250 1
In1 In 0.000 0.355 0.053 1
Ir1 Ir 0.000 0.221 0.750 1


Record 10
# SmInIr PBE optimized geometry
# Formation energy from the elements, eV/atom: -0.668
# Uncorrected energy, eV per atom: -6.104
data_SmInIr
_chemical_formula_sum 'Sm3 In3 Ir3'
_space_group_name_H-M_alt 'P -6 2 m'
_space_group_IT_number 189
_space_group_name_Hall 'P -6 -2'
_cell_length_a 7.5821
_cell_length_b 7.5821
_cell_length_c 4.0489
_cell_angle_alpha 90.00
_cell_angle_beta 90.00
_cell_angle_gamma 120.00
loop_
_atom_site_label
_atom_site_type_symbol
_atom_site_fract_x
_atom_site_fract_y
_atom_site_fract_z
_atom_site_occupancy
Sm1 Sm 0.0000 0.4081 0.0000 1
In1 In 0.0000 0.7464 0.5000 1
Ir1 Ir 0.0000 0.0000 0.0000 1
Ir2 Ir 0.3333 0.6667 0.5000 1


Record 11
# SmIn2Ir PBE optimized geometry
# Formation energy from the elements, eV/atom: -0.538
# Uncorrected energy, eV per atom: -5.303
data_SmIn2Ir
_chemical_formula_sum 'Sm4 In8 Ir4'
_space_group_name_H-M_alt 'C m c m'
_space_group_IT_number 63
_space_group_name_Hall '-C 2c 2'
_cell_length_a 4.388
_cell_length_b 10.320
_cell_length_c 8.093
_cell_angle_alpha 90.00
_cell_angle_beta 90.00
_cell_angle_gamma 90.00
loop_
_atom_site_label
_atom_site_type_symbol
_atom_site_fract_x
_atom_site_fract_y
_atom_site_fract_z
_atom_site_occupancy
Sm1 Sm 0.000 0.071 0.250 1
In1 In 0.000 0.356 0.051 1
Ir1 Ir 0.000 0.220 0.750 1


Record 12
# SrIn8Ir2 PBE optimized geometry
# Formation energy from the elements, eV/atom: -0.257
# Uncorrected energy, eV per atom: -4.019
data_SrIn8Ir2
_chemical_formula_sum 'Sr4 In32 Ir8'
_space_group_name_H-M_alt 'P b a m'
_space_group_IT_number 55
_space_group_name_Hall '-P 2 2ab'
_cell_length_a 14.155
_cell_length_b 16.232
_cell_length_c 4.495
_cell_angle_alpha 90.00
_cell_angle_beta 90.00
_cell_angle_gamma 90.00
loop_
_atom_site_label
_atom_site_type_symbol
_atom_site_fract_x
_atom_site_fract_y
_atom_site_fract_z
_atom_site_occupancy
Sr1 Sr 0.158 0.181 0.000 1
In1 In 0.000 0.000 0.000 1
In2 In 0.000 0.500 0.500 1
In3 In 0.020 0.866 0.500 1
In4 In 0.051 0.317 0.500 1
In5 In 0.100 0.747 0.000 1
In6 In 0.160 0.456 0.000 1
In7 In 0.166 0.622 0.500 1
In8 In 0.170 0.010 0.500 1
In9 In 0.240 0.823 0.500 1
Ir1 Ir 0.036 0.595 0.000 1
Ir2 Ir 0.155 0.904 0.000 1


Record 13
# SrIn2Ir PBE optimized geometry
# Formation energy from the elements, eV/atom: -0.408
# Uncorrected energy, eV per atom: -4.415
data_SrIn2Ir
_chemical_formula_sum 'Sr4 In8 Ir4'
_space_group_name_H-M_alt 'C m c m'
_space_group_IT_number 63
_space_group_name_Hall '-C 2c 2'
_cell_length_a 4.340
_cell_length_b 11.163
_cell_length_c 8.187
_cell_angle_alpha 90.00
_cell_angle_beta 90.00
_cell_angle_gamma 90.00
loop_
_atom_site_label
_atom_site_type_symbol
_atom_site_fract_x
_atom_site_fract_y
_atom_site_fract_z
_atom_site_occupancy
Sr1 Sr 0.000 0.061 0.250 1
In1 In 0.000 0.345 0.053 1
Ir1 Ir 0.000 0.220 0.750 1


Record 14
# TbInIr PBE optimized geometry
# Formation energy from the elements, eV/atom: -0.702
# Uncorrected energy, eV per atom: -6.110
data_TbInIr
_chemical_formula_sum 'Tb3 In3 Ir3'
_space_group_name_H-M_alt 'P -6 2 m'
_space_group_IT_number 189
_space_group_name_Hall 'P -6 -2'
_cell_length_a 7.5281
_cell_length_b 7.5281
_cell_length_c 3.9897
_cell_angle_alpha 90.00
_cell_angle_beta 90.00
_cell_angle_gamma 120.00
loop_
_atom_site_label
_atom_site_type_symbol
_atom_site_fract_x
_atom_site_fract_y
_atom_site_fract_z
_atom_site_occupancy
Tb1 Tb 0.0000 0.5936 0.0000 1
In1 In 0.0000 0.2563 0.5000 1
Ir1 Ir 0.0000 0.0000 0.0000 1
Ir2 Ir 0.3333 0.6667 0.5000 1


Record 15
# U2InIr2 PBE optimized geometry
# Formation energy from the elements, eV/atom: -0.467
# Uncorrected energy, eV per atom: -9.069
data_U2InIr2
_chemical_formula_sum 'U4 In2 Ir4'
_space_group_name_H-M_alt 'P 4/m b m'
_space_group_IT_number 127
_space_group_name_Hall '-P 4 2ab'
_cell_length_a 7.725
_cell_length_b 7.725
_cell_length_c 3.508
_cell_angle_alpha 90.00
_cell_angle_beta 90.00
_cell_angle_gamma 90.00
loop_
_atom_site_label
_atom_site_type_symbol
_atom_site_fract_x
_atom_site_fract_y
_atom_site_fract_z
_atom_site_occupancy
U1 U 0.166 0.334 0.000 1
In1 In 0.000 0.000 0.500 1
Ir1 Ir 0.136 0.636 0.500 1


Record 16
# Y4InIr PBE optimized geometry
# Formation energy from the elements, eV/atom: -0.584
# Uncorrected energy, eV per atom: -6.827
data_Y4InIr
_chemical_formula_sum 'Y64 In16 Ir16'
_space_group_name_H-M_alt 'F -4 3 m'
_space_group_IT_number 216
_space_group_name_Hall 'F -4 2 3'
_cell_length_a 13.752
_cell_length_b 13.752
_cell_length_c 13.752
_cell_angle_alpha 90.00
_cell_angle_beta 90.00
_cell_angle_gamma 90.00
loop_
_atom_site_label
_atom_site_type_symbol
_atom_site_fract_x
_atom_site_fract_y
_atom_site_fract_z
_atom_site_occupancy
Y1 Y 0.000 0.000 0.190 1
Y2 Y 0.058 0.250 0.750 1
Y3 Y 0.099 0.099 0.401 1
In1 In 0.167 0.167 0.167 1
Ir1 Ir 0.109 0.109 0.609 1


Record 17
# K3In PBE optimized geometry
# Formation energy from the elements, eV/atom: 0.060
# Uncorrected energy, eV per atom: -1.461
data_K3In
_chemical_formula_sum 'K6 In2'
_space_group_name_H-M_alt 'I 4/m m m'
_space_group_IT_number 139
_space_group_name_Hall '-I 4 2'
_cell_length_a 5.791
_cell_length_b 5.791
_cell_length_c 11.755
_cell_angle_alpha 90.00
_cell_angle_beta 90.00
_cell_angle_gamma 90.00
loop_
_atom_site_label
_atom_site_type_symbol
_atom_site_fract_x
_atom_site_fract_y
_atom_site_fract_z
_atom_site_occupancy
K1 K 0.000 0.000 0.000 1
K2 K 0.000 0.500 0.250 1
In1 In 0.000 0.000 0.500 1